# 1
Computed, not measured: a geometry-optimized U2Co3O8 structure at the GGA+U level of DFT.

a = 6.8180 Å, b = 5.7353 Å, c = 10.7574 Å
α = 90.00°, β = 90.00°, γ = 90.00°
Space group Pmn2_1 (No. 31)
One atom of each set of equivalent atoms:
1 U 0.0000 0.0199 0.0000 (multiplicity 2)
2 U 0.0000 0.7804 0.5502 (multiplicity 2)
3 Co 0.0000 0.4736 0.8527 (multiplicity 2)
4 Co 0.1917 0.9686 0.3004 (multiplicity 4)
5 O 0.0000 0.0666 0.4309 (multiplicity 2)
6 O 0.0000 0.5243 0.6722 (multiplicity 2)
7 O 0.0000 0.6780 0.0004 (multiplicity 2)
8 O 0.0000 0.9682 0.8128 (multiplicity 2)
9 O 0.2298 0.0559 0.1321 (multiplicity 4)
10 O 0.2335 0.2913 0.9219 (multiplicity 4)

## Properties
- MP2020-corrected energy (eV/cell) = -222.414
- energy relative to the lowest polymorph listed for this composition (eV/atom) = 0.406
- calculated total energy (eV/atom) = -7.754
- ΔH_f (0 K) (eV/atom) = -2.132
- theoretical density (Mg/m³) = 6.2

# 2
Computed, not measured: a geometry-optimized LiMn5O7F structure at the GGA+U level of DFT.

a = 6.1614 Å, b = 6.1614 Å, c = 14.7296 Å
α = 90.00°, β = 90.00°, γ = 120.00°
Space group R3m (No. 160, hexagonal axes)
One atom of each set of equivalent atoms:
1 Li 0.0000 0.0000 0.0000 (multiplicity 3)
2 Mn 0.0000 0.0000 0.2241 (multiplicity 3)
3 Mn 0.0000 0.0000 0.6136 (multiplicity 3)
4 Mn 0.0065 0.5033 0.1076 (multiplicity 9)
5 O 0.0000 0.0000 0.3591 (multiplicity 3)
6 O 0.0388 0.5194 0.3746 (multiplicity 9)
7 O 0.1862 0.3724 0.1846 (multiplicity 9)
8 F 0.0000 0.0000 0.8713 (multiplicity 3)

## Properties
- MP2020-corrected energy (eV/cell) = -342.749
- calculated total energy (eV/atom) = -7.188
- ΔH_f (0 K) (eV/atom) = -2.141
- theoretical density (Mg/m³) = 4.2

# 3
Computed, not measured: a geometry-optimized K2NiF4 structure at the GGA+U level of DFT.

a = 4.0750 Å, b = 4.0750 Å, c = 13.1995 Å
α = 90.00°, β = 90.00°, γ = 90.00°
Space group I4/mmm (No. 139)
One atom of each set of equivalent atoms:
1 K 0.0000 0.0000 0.1453 (multiplicity 4)
2 Ni 0.0000 0.0000 0.5000 (multiplicity 2)
3 F 0.0000 0.0000 0.3463 (multiplicity 4)
4 F 0.0000 0.5000 0.0000 (multiplicity 4)

## Properties
- MP2020-corrected energy (eV/cell) = -69.690
- calculated total energy (eV/atom) = -4.351
- ΔH_f (0 K) (eV/atom) = -2.741
- theoretical density (Mg/m³) = 3.2

# 4
Computed, not measured: a geometry-optimized Mg2V2O7 structure at the GGA+U level of DFT.

a = 6.7197 Å, b = 8.5317 Å, c = 9.6171 Å
α = 90.00°, β = 100.83°, γ = 90.00°
Space group P2_1/c (No. 14)
One atom of each set of equivalent atoms:
1 Mg 0.1469 0.1211 0.4638 (multiplicity 4)
2 Mg 0.3079 0.1108 0.1814 (multiplicity 4)
3 V 0.1923 0.0207 0.8144 (multiplicity 4)
4 V 0.3595 0.7421 0.0310 (multiplicity 4)
5 O 0.0311 0.0768 0.2474 (multiplicity 4)
6 O 0.1487 0.6209 0.9974 (multiplicity 4)
7 O 0.1728 0.1322 0.9606 (multiplicity 4)
8 O 0.2505 0.1419 0.6840 (multiplicity 4)
9 O 0.3237 0.6258 0.6522 (multiplicity 4)
10 O 0.3903 0.6300 0.3765 (multiplicity 4)
11 O 0.4283 0.1312 0.3985 (multiplicity 4)

## Properties
- MP2020-corrected energy (eV/cell) = -341.909
- calculated total energy (eV/atom) = -7.024
- ΔH_f (0 K) (eV/atom) = -2.679
- theoretical density (Mg/m³) = 3.2